Compound: SrCaSmNbO6
Source: the Materials Project database
Functional: GGA-PBE
Structure: optimized geometry

Formation energy from the elements ... -3.251 eV per atom
E (MP2020) ... -80.71 eV/f.u.
Offset from the most stable computed form ... 106 meV/atom
Calculated total energy ... -7.66 eV per atom

Cell and atoms, written as CIF:
```
data_SrCaSmNbO6
_space_group_name_H-M_alt 'F -4 3 m'
_space_group_IT_number 216
_space_group_name_Hall 'F -4 2 3'
_cell_length_a 8.521
_cell_length_b 8.521
_cell_length_c 8.521
_cell_angle_alpha 90.00
_cell_angle_beta 90.00
_cell_angle_gamma 90.00
loop_
_atom_site_label
_atom_site_fract_x
_atom_site_fract_y
_atom_site_fract_z
Sr1 0.000 0.000 0.000
Ca1 0.000 0.000 0.500
Sm1 0.250 0.250 0.750
Nb1 0.250 0.250 0.250
O1 0.015 0.250 0.250
```